No. 1
MgMn3V2O10 | PBE with a Hubbard U | relaxed

The structure in CIF format:
```
data_MgMn3V2O10
_cell_length_a 5.118
_cell_length_b 5.516
_cell_length_c 7.882
_cell_angle_alpha 109.86
_cell_angle_beta 99.41
_cell_angle_gamma 102.49
_space_group_name_H-M_alt 'P -1'
_space_group_IT_number 2
loop_
_space_group_symop_operation_xyz
'x,y,z'
'-x,-y,-z'
loop_
_atom_site_label
_atom_site_fract_x
_atom_site_fract_y
_atom_site_fract_z
_atom_site_occupancy
Mg1 0.000 0.000 0.000 1
Mn1 0.202 0.395 0.405 1
Mn2 0.500 0.000 0.500 1
V1 0.393 0.780 0.818 1
O1 0.036 0.640 0.822 1
O2 0.163 0.746 0.552 1
O3 0.283 0.071 0.270 1
O4 0.369 0.147 0.958 1
O5 0.449 0.422 0.634 1
```

Results
* crystal system: triclinic
* total energy: -116.82 eV/f.u.
* relative energy among the computed polymorphs: 64.3 kJ/mol of formula units

=====

No. 2
Ba6Mn2ZnCl6F12 | PBE with a Hubbard U | relaxed

The structure in CIF format:
```
data_Ba6Mn2ZnCl6F12
_cell_length_a 10.2434
_cell_length_b 10.2434
_cell_length_c 5.9308
_cell_angle_alpha 90.00
_cell_angle_beta 90.00
_cell_angle_gamma 120.00
_space_group_name_H-M_alt 'P -3'
_space_group_IT_number 147
loop_
_space_group_symop_operation_xyz
'x,y,z'
'-x,-y,-z'
'-y,x-y,z'
'y,-x+y,-z'
'-x+y,-x,z'
'x-y,x,-z'
loop_
_atom_site_label
_atom_site_fract_x
_atom_site_fract_y
_atom_site_fract_z
_atom_site_occupancy
Ba1 0.0917 0.6890 0.2501 1
Mn1 0.3333 0.6667 0.7508 1
Zn1 0.0000 0.0000 0.0000 1
Cl1 0.0491 0.8268 0.7650 1
F1 0.1606 0.5182 0.5135 1
F2 0.1607 0.5195 0.9867 1
```

Results
* crystal system: trigonal
* total energy: -143.30 eV/f.u.

=====

No. 3
MgTlV4O10 | PBE with a Hubbard U | relaxed

The structure in CIF format:
```
data_MgTlV4O10
_cell_length_a 3.810
_cell_length_b 6.393
_cell_length_c 10.302
_cell_angle_alpha 99.21
_cell_angle_beta 90.08
_cell_angle_gamma 107.32
_space_group_name_H-M_alt 'P 1'
_space_group_IT_number 1
loop_
_space_group_symop_operation_xyz
'x,y,z'
loop_
_atom_site_label
_atom_site_fract_x
_atom_site_fract_y
_atom_site_fract_z
_atom_site_occupancy
Mg1 0.000 0.000 0.000 1
Tl1 0.549 0.085 0.226 1
V1 0.117 0.210 0.732 1
V2 0.245 0.470 0.478 1
V3 0.814 0.606 0.741 1
V4 0.940 0.861 0.474 1
O1 0.099 0.178 0.538 1
O2 0.129 0.233 0.903 1
O3 0.186 0.351 0.314 1
O4 0.280 0.538 0.702 1
O5 0.407 0.794 0.485 1
O6 0.654 0.286 0.730 1
O7 0.783 0.545 0.518 1
O8 0.865 0.707 0.907 1
O9 0.950 0.882 0.306 1
O10 0.968 0.913 0.692 1
```

Results
* crystal system: triclinic
* total energy: -111.23 eV/f.u.
* relative energy among the computed polymorphs: 201.4 kJ/mol of formula units

=====

The calculation returns the following formation energy values, one per record and in order: -35.36 -87.02 -35.12 eV per formula unit.